Record 1
Below is crystalline K4MnO4 at its relaxed geometry, with properties calculated at the PBE+U level.

Values from the calculation:
E_tot = -177.4 eV for the cell shown
E (MP2020) = -5.42 eV/atom
V = 19.1 Å³/atom
energy of formation from the pure elements = -1.71 eV/atom

Cell: 7.1334 9.5305 10.7256 Å, 72.22 91.98 84.01°
Element x y z (fractional)
K  0.6304  0.3764  0.4072
K  0.1304  0.3765  0.9072
K  0.3696  0.6235  0.5928
K  0.8696  0.6236  0.0928
K  0.9133  0.1576  0.6735
K  0.4134  0.1576  0.1735
K  0.0866  0.8424  0.3265
K  0.5867  0.8424  0.8265
K  0.2590  0.0299  0.5117
K  0.7590  0.0299  0.0117
K  0.7410  0.9701  0.4883
K  0.2410  0.9702  0.9883
K  0.1199  0.4356  0.3950
K  0.6200  0.4356  0.8950
K  0.8800  0.5644  0.6050
K  0.3801  0.5644  0.1050
Mn  0.4444  0.2489  0.7117
Mn  0.0556  0.7511  0.7883
Mn  0.9444  0.2488  0.2117
Mn  0.5556  0.7512  0.2883
O  0.1293  0.3704  0.1685
O  0.6294  0.3704  0.6684
O  0.8706  0.6296  0.8316
O  0.3706  0.6296  0.3315
O  0.7968  0.6583  0.3366
O  0.2969  0.6582  0.8366
O  0.2032  0.3418  0.6634
O  0.7032  0.3417  0.1634
O  0.9372  0.1928  0.3908
O  0.4372  0.1928  0.8908
O  0.0628  0.8072  0.6092
O  0.5628  0.8072  0.1092
O  0.0345  0.1115  0.1336
O  0.5346  0.1115  0.6336
O  0.9654  0.8885  0.8664
O  0.4655  0.8885  0.3664

=====

Record 2
Below is crystalline VCl2O at its relaxed geometry, with properties calculated at the PBE+U level.

Values from the calculation:
E_tot = -21.5 eV for the cell shown
SG = Immm (71)
E (MP2020) = -5.98 eV/atom
V = 21.0 Å³/atom
energy of formation from the pure elements = -1.55 eV/atom

Cell: 7.0172 7.0172 7.0172 Å, 150.97 149.92 42.30°
Element x y z (fractional)
V  0.0000  0.0000  0.0000
Cl  0.1272  0.6272  0.5000
Cl  0.8728  0.3728  0.5000
O  0.5000  0.0000  0.5000

=====

Record 3
Below is crystalline MgMn6O10F2 at its relaxed geometry, with properties calculated at the PBE+U level.

Values from the calculation:
E_tot = -132.0 eV for the cell shown
SG = P1 (1)
relative energy among the computed polymorphs = 3.11 kJ/mol of atoms
E (MP2020) = -7.88 eV/atom
V = 11.4 Å³/atom
energy of formation from the pure elements = -2.10 eV/atom

Cell: 2.9725 6.4200 11.6465 Å, 77.36 88.95 89.91°
Element x y z (fractional)
Mg  0.0000  0.0000  0.0000
Mn  0.0181  0.8857  0.7953
Mn  0.0301  0.5078  0.4892
Mn  0.0502  0.1167  0.2315
Mn  0.5144  0.6193  0.2033
Mn  0.5175  0.3951  0.8012
Mn  0.5397  0.9988  0.5090
O  0.0136  0.8301  0.1713
O  0.0157  0.1880  0.8292
O  0.0157  0.4324  0.1912
O  0.0170  0.5834  0.8075
O  0.0383  0.1954  0.5077
O  0.0387  0.8006  0.5146
O  0.5095  0.8513  0.9171
O  0.5220  0.5547  0.3843
O  0.5252  0.9426  0.6890
O  0.5508  0.0599  0.3372
F  0.4932  0.1646  0.0616
F  0.5409  0.4518  0.6141

=====

Record 4
Below is crystalline Li9Mn2Co5O16 at its relaxed geometry, with properties calculated at the PBE+U level.

Values from the calculation:
E_tot = -181.4 eV for the cell shown
SG = P1 (1)
relative energy among the computed polymorphs = 17.80 kJ/mol of atoms
E (MP2020) = -6.37 eV/atom
V = 9.1 Å³/atom
energy of formation from the pure elements = -1.68 eV/atom

Cell: 3.0192 9.7945 9.9785 Å, 87.10 87.81 82.97°
Element x y z (fractional)
Li  0.0000  0.0000  0.0000
Li  0.9997  0.0051  0.4972
Li  0.2561  0.4946  0.8743
Li  0.2648  0.4953  0.3722
Li  0.3807  0.2482  0.5617
Li  0.4952  0.0049  0.7531
Li  0.5109  0.0014  0.2486
Li  0.7589  0.4896  0.6246
Li  0.7602  0.4970  0.1262
Mn  0.1299  0.7494  0.6835
Mn  0.6380  0.7486  0.9388
Co  0.1304  0.7486  0.1910
Co  0.3806  0.2488  0.0619
Co  0.6240  0.7481  0.4349
Co  0.8776  0.2499  0.8028
Co  0.8841  0.2476  0.3209
O  0.0369  0.8623  0.3434
O  0.0418  0.8650  0.8406
O  0.2211  0.6334  0.5285
O  0.2277  0.6309  0.0364
O  0.2908  0.3626  0.2134
O  0.3024  0.3633  0.7251
O  0.4619  0.1339  0.3978
O  0.4657  0.1355  0.9107
O  0.5447  0.8646  0.5873
O  0.5842  0.8644  0.0936
O  0.6714  0.6359  0.2830
O  0.7205  0.6331  0.7817
O  0.8234  0.3636  0.4496
O  0.8338  0.3587  0.9612
O  0.9279  0.1389  0.1626
O  0.9396  0.1333  0.6746

=====

Record 5
Below is crystalline Li6VO3F3 at its relaxed geometry, with properties calculated at the PBE+U level.

Values from the calculation:
E_tot = -139.6 eV for the cell shown
SG = P1 (1)
E (MP2020) = -5.76 eV/atom
V = 10.1 Å³/atom
energy of formation from the pure elements = -2.60 eV/atom

Cell: 5.2187 6.6496 7.8755 Å, 89.87 88.52 73.42°
Element x y z (fractional)
Li  0.0000  0.0000  0.0000
Li  0.0292  0.5459  0.4833
Li  0.2074  0.1060  0.3771
Li  0.2426  0.6215  0.9070
Li  0.3232  0.6518  0.2286
Li  0.3710  0.1313  0.7265
Li  0.4939  0.7768  0.5328
Li  0.5386  0.2589  0.0336
Li  0.6421  0.2815  0.3822
Li  0.6789  0.7909  0.9171
Li  0.8123  0.3682  0.7988
Li  0.8598  0.9108  0.2867
V  0.8964  0.9609  0.6292
V  0.9056  0.4606  0.1295
O  0.1471  0.8081  0.4489
O  0.5818  0.0386  0.4941
O  0.5885  0.5345  0.0003
O  0.7120  0.0870  0.8418
O  0.8951  0.1783  0.1973
O  0.9893  0.7281  0.0892
F  0.9996  0.2476  0.5818
F  0.1612  0.3370  0.9116
F  0.2597  0.8812  0.7927
F  0.2721  0.3787  0.2888
F  0.6918  0.5723  0.3604
F  0.8246  0.6677  0.6907

=====

Record 6
Below is crystalline Mo2C5N3O14 at its relaxed geometry, with properties calculated at the PBE+U level.

Values from the calculation:
E_tot = -649.5 eV for the cell shown
SG = Pnma (62)
E (MP2020) = -7.43 eV/atom
V = 23.0 Å³/atom
energy of formation from the pure elements = -0.68 eV/atom

Cell: 8.3538 20.0048 13.2383 Å, 90.00 90.00 90.00°
Element x y z (fractional)
Mo  0.2486  0.1866  0.0375
Mo  0.2486  0.3134  0.0375
Mo  0.2514  0.6866  0.5375
Mo  0.2514  0.8134  0.5375
Mo  0.7486  0.1866  0.4625
Mo  0.7486  0.3134  0.4625
Mo  0.7514  0.6866  0.9625
Mo  0.7514  0.8134  0.9625
C  0.1310  0.7500  0.9312
C  0.1326  0.0761  0.2395
C  0.1326  0.4239  0.2395
C  0.1506  0.1012  0.8267
C  0.1506  0.3988  0.8267
C  0.3494  0.6012  0.3267
C  0.3494  0.8988  0.3267
C  0.3674  0.5761  0.7395
C  0.3674  0.9239  0.7395
C  0.3690  0.2500  0.4312
C  0.6310  0.7500  0.5688
C  0.6326  0.0761  0.2605
C  0.6326  0.4239  0.2605
C  0.6506  0.1012  0.6733
C  0.6506  0.3988  0.6733
C  0.8494  0.6012  0.1733
C  0.8494  0.8988  0.1733
C  0.8674  0.5761  0.7605
C  0.8674  0.9239  0.7605
C  0.8690  0.2500  0.0688
N  0.0568  0.7500  0.2754
N  0.2310  0.0471  0.5404
N  0.2310  0.4529  0.5404
N  0.2690  0.5471  0.0404
N  0.2690  0.9529  0.0404
N  0.4432  0.2500  0.7754
N  0.5568  0.7500  0.2246
N  0.7310  0.0471  0.9596
N  0.7310  0.4529  0.9596
N  0.7690  0.5471  0.4596
N  0.7690  0.9529  0.4596
N  0.9432  0.2500  0.7246
O  0.0754  0.6478  0.5000
O  0.0754  0.8522  0.5000
O  0.1002  0.0876  0.9076
O  0.1002  0.4124  0.9076
O  0.1048  0.0527  0.3186
O  0.1048  0.4473  0.3186
O  0.1305  0.6912  0.9308
O  0.1305  0.8088  0.9308
O  0.1474  0.2500  0.9421
O  0.1601  0.0980  0.1585
O  0.1601  0.4020  0.1585
O  0.2002  0.1137  0.7461
O  0.2002  0.3863  0.7461
O  0.2065  0.2500  0.1503
O  0.2935  0.7500  0.6503
O  0.2998  0.6137  0.2461
O  0.2998  0.8863  0.2461
O  0.3399  0.5980  0.6585
O  0.3399  0.9020  0.6585
O  0.3526  0.7500  0.4421
O  0.3695  0.1912  0.4308
O  0.3695  0.3088  0.4308
O  0.3952  0.5527  0.8186
O  0.3952  0.9473  0.8186
O  0.3998  0.5876  0.4076
O  0.3998  0.9124  0.4076
O  0.4246  0.1478  0.0000
O  0.4246  0.3522  0.0000
O  0.5754  0.6478  0.0000
O  0.5754  0.8522  0.0000
O  0.6002  0.0876  0.5924
O  0.6002  0.4124  0.5924
O  0.6048  0.0527  0.1814
O  0.6048  0.4473  0.1814
O  0.6305  0.6912  0.5692
O  0.6305  0.8088  0.5692
O  0.6474  0.2500  0.5579
O  0.6601  0.0980  0.3415
O  0.6601  0.4020  0.3415
O  0.7002  0.1137  0.7539
O  0.7002  0.3863  0.7539
O  0.7065  0.2500  0.3497
O  0.7935  0.7500  0.8497
O  0.7998  0.6137  0.2539
O  0.7998  0.8863  0.2539
O  0.8399  0.5980  0.8415
O  0.8399  0.9020  0.8415
O  0.8526  0.7500  0.0579
O  0.8695  0.1912  0.0692
O  0.8695  0.3088  0.0692
O  0.8952  0.5527  0.6814
O  0.8952  0.9473  0.6814
O  0.8998  0.5876  0.0924
O  0.8998  0.9124  0.0924
O  0.9246  0.1478  0.5000
O  0.9246  0.3522  0.5000

=====

- The lowest E (MP2020) belongs to which entry?
  MgMn6O10F2

=====

- Which of these has the highest E_tot?
  VCl2O

=====

- What is the E (MP2020) in the second record?
  -5.98 eV/atom